Entry 1:
Entry from Materials Project: crystalline Mg2MnP2O8 at its relaxed geometry (GGA+U).

Results
energy of formation	-2.894	eV per atom

abc: 9.0906 9.9556 9.6470
angles: 72.39 113.50 74.73
Last column: nearest neighbours and their distance in Å.
Atoms (fractional coordinates):
Mn 0.7500 0.9999 0.7500  6 O 2.14-2.33
Mn 0.4999 0.5000 0.9999  6 O 2.14-2.33
Mn 0.9999 0.5000 0.4998  6 O 2.14-2.33
Mn 0.2498 0.0000 0.2498  6 O 2.14-2.33
O 0.4060 0.5795 0.5488  1 P 1.56
O 0.5940 0.4205 0.4513  1 P 1.56
O 0.1666 0.8618 0.4021  1 P 1.57
O 0.5187 0.8482 0.4572  1 P 1.55
O 0.3832 0.3482 0.9447  1 P 1.55
O 0.0187 0.8482 0.9572  1 P 1.55
O 0.3691 0.7065 0.7301  1 P 1.54
O 0.2645 0.0795 0.6218  1 P 1.56
O 0.3334 0.1382 0.0979  1 P 1.57
O 0.2215 0.3619 0.4860  1 P 1.57
O 0.1169 0.6518 0.5555  1 P 1.55
O 0.1310 0.2936 0.7699  1 P 1.54
O 0.7216 0.3618 0.9861  1 P 1.57
O 0.7644 0.0795 0.1217  1 P 1.56
O 0.4813 0.1518 0.5428  1 P 1.55
O 0.8831 0.3482 0.4446  1 P 1.55
O 0.8692 0.7065 0.2301  1 P 1.54
O 0.6743 0.2066 0.8134  1 P 1.54
O 0.2355 0.9205 0.8783  1 P 1.56
O 0.2785 0.6382 0.0140  1 P 1.57
O 0.6666 0.8618 0.9021  1 P 1.57
O 0.9813 0.1518 0.0428  1 P 1.55
O 0.8257 0.7935 0.6866  1 P 1.54
O 0.7355 0.9205 0.3782  1 P 1.56
O 0.6169 0.6519 0.0555  1 P 1.55
O 0.3256 0.7935 0.1866  1 P 1.54
O 0.7785 0.6382 0.5140  1 P 1.57
O 0.0940 0.4205 0.9512  1 P 1.56
O 0.6309 0.2934 0.2699  1 P 1.54
O 0.1744 0.2065 0.3134  1 P 1.54
O 0.9060 0.5795 0.0487  1 P 1.56
O 0.8334 0.1382 0.5980  1 P 1.57
Mg 0.5796 0.1411 0.1879  5 O 1.99-2.18
Mg 0.4707 0.3589 0.5791  5 O 1.99-2.18
Mg 0.0796 0.1411 0.6880  5 O 1.99-2.18
Mg 0.5294 0.6410 0.4211  5 O 1.99-2.18
Mg 0.4203 0.8590 0.8120  5 O 1.99-2.18
Mg 0.9203 0.8589 0.3120  5 O 1.99-2.18
Mg 0.9707 0.3589 0.0790  5 O 1.99-2.18
Mg 0.0294 0.6410 0.9210  5 O 1.99-2.18
P 0.2310 0.3017 0.9367  4 O 1.54-1.57
P 0.2828 0.1983 0.4884  4 O 1.54-1.57
P 0.7689 0.6983 0.0632  4 O 1.54-1.57
P 0.2173 0.8017 0.0116  4 O 1.54-1.57
P 0.7310 0.3017 0.4367  4 O 1.54-1.57
P 0.7827 0.1983 0.9884  4 O 1.54-1.57
P 0.2690 0.6983 0.5633  4 O 1.54-1.57
P 0.7173 0.8017 0.5116  4 O 1.54-1.57


Entry 2:
Entry from Materials Project: crystalline SrMgMnP2O8 at its relaxed geometry (GGA+U).

Results
energy of formation	-2.965	eV per atom
relative energy among the computed polymorphs	0.0	meV per atom

abc: 6.9892 11.1301 9.5350
angles: 106.51 72.70 82.08
Last column: nearest neighbours and their distance in Å.
Atoms (fractional coordinates):
Mn 0.7212 0.5357 0.4414  6 O 2.08-2.28
Mn 0.7212 0.0356 0.4414  6 O 2.08-2.28
Mn 0.2788 0.9644 0.5585  6 O 2.08-2.28
Mn 0.2788 0.4644 0.5586  6 O 2.08-2.28
O 0.7363 0.7235 0.7904  1 P 1.55
O 0.2637 0.7765 0.2096  1 P 1.55
O 0.3450 0.4637 0.1087  1 P 1.55
O 0.4126 0.1279 0.6403  1 P 1.57
O 0.1278 0.3046 0.8656  1 P 1.52
O 0.8256 0.2180 0.4235  1 P 1.58
O 0.3450 0.9637 0.1087  1 P 1.55
O 0.0270 0.0528 0.7784  1 P 1.54
O 0.1844 0.5133 0.3907  1 P 1.58
O 0.2637 0.2765 0.2096  1 P 1.55
O 0.4233 0.8668 0.6958  1 P 1.58
O 0.0270 0.5528 0.7784  1 P 1.54
O 0.8156 0.4867 0.6093  1 P 1.58
O 0.9730 0.4472 0.2216  1 P 1.54
O 0.4126 0.6279 0.6403  1 P 1.57
O 0.1744 0.2820 0.5765  1 P 1.58
O 0.5874 0.8721 0.3597  1 P 1.57
O 0.1744 0.7820 0.5765  1 P 1.58
O 0.9730 0.9472 0.2216  1 P 1.54
O 0.7363 0.2235 0.7904  1 P 1.55
O 0.1278 0.8046 0.8656  1 P 1.52
O 0.5767 0.1332 0.3042  1 P 1.58
O 0.8256 0.7180 0.4236  1 P 1.58
O 0.6550 0.0363 0.8913  1 P 1.55
O 0.8156 0.9867 0.6093  1 P 1.58
O 0.8722 0.6954 0.1344  1 P 1.52
O 0.6550 0.5363 0.8913  1 P 1.55
O 0.5767 0.6332 0.3042  1 P 1.58
O 0.5874 0.3721 0.3597  1 P 1.57
O 0.8722 0.1954 0.1344  1 P 1.52
O 0.1844 0.0133 0.3907  1 P 1.58
O 0.4233 0.3668 0.6958  1 P 1.58
Mg 0.7308 0.3304 0.6539  4 O 2.00-2.04
Mg 0.2692 0.1696 0.3461  4 O 2.00-2.04
Mg 0.2692 0.6696 0.3461  4 O 2.00-2.04
Mg 0.7308 0.8304 0.6539  4 O 2.00-2.04
P 0.7212 0.2304 0.3008  4 O 1.52-1.58
P 0.7212 0.7304 0.3008  4 O 1.52-1.58
P 0.8082 0.0795 0.7716  4 O 1.54-1.58
P 0.2788 0.2696 0.6992  4 O 1.52-1.58
P 0.2788 0.7696 0.6992  4 O 1.52-1.58
P 0.1918 0.4205 0.2284  4 O 1.54-1.58
P 0.8082 0.5795 0.7716  4 O 1.54-1.58
P 0.1918 0.9205 0.2284  4 O 1.54-1.58
Sr 0.2472 0.1001 0.9507  7 O 2.55-2.81
Sr 0.7528 0.8999 0.0492  7 O 2.55-2.81
Sr 0.2472 0.6001 0.9507  7 O 2.55-2.81
Sr 0.7528 0.3999 0.0492  7 O 2.55-2.81


Entry 3:
Entry from Materials Project: crystalline MgTiMn5P6O24 at its relaxed geometry (GGA+U).

Results
energy of formation	-2.612	eV per atom
relative energy among the computed polymorphs	30.6	meV per atom
space group	P1 (1)

abc: 8.8534 8.6965 8.7577
angles: 59.99 60.32 61.81
Last column: nearest neighbours and their distance in Å.
Atoms (fractional coordinates):
P 0.2648 0.5302 0.9580  4 O 1.54-1.58
P 0.2600 0.9509 0.2515  4 O 1.51-1.59
P 0.7703 0.4395 0.0501  4 O 1.53-1.58
P 0.7576 0.7532 0.4403  4 O 1.52-1.59
P 0.2554 0.2572 0.5289  4 O 1.53-1.58
P 0.7745 0.0381 0.7454  4 O 1.55-1.57
O 0.1014 0.4536 0.0959  1 P 1.54
O 0.5965 0.8010 0.6161  1 P 1.58
O 0.7701 0.0628 0.9125  1 P 1.56
O 0.6037 0.9955 0.7885  1 P 1.55
O 0.3106 0.5410 0.7586  1 P 1.55
O 0.4274 0.1698 0.3811  1 P 1.58
O 0.4333 0.0209 0.1585  1 P 1.59
O 0.7623 0.4193 0.2378  1 P 1.53
O 0.0990 0.0771 0.3536  1 P 1.51
O 0.9351 0.4990 0.8717  1 P 1.58
O 0.6076 0.6124 0.9959  1 P 1.57
O 0.2093 0.1005 0.7213  1 P 1.55
O 0.7745 0.2295 0.5800  1 P 1.57
O 0.0924 0.3586 0.4613  1 P 1.53
O 0.2221 0.7218 0.9627  1 P 1.54
O 0.7440 0.5923 0.4279  1 P 1.52
O 0.3154 0.7499 0.3868  1 P 1.55
O 0.3067 0.3952 0.5440  1 P 1.55
O 0.2163 0.9582 0.0965  1 P 1.55
O 0.4393 0.3874 0.0136  1 P 1.58
O 0.7698 0.2574 0.0618  1 P 1.54
O 0.9362 0.8660 0.7072  1 P 1.55
O 0.7641 0.9205 0.2560  1 P 1.54
O 0.9233 0.7075 0.4963  1 P 1.59
Mn 0.7664 0.7229 0.7447  4 O 1.95-2.00
Mn 0.9621 0.3394 0.3479  5 O 1.91-2.10
Mn 0.9989 0.9998 0.9970  6 O 2.23-2.34
Mn 0.3946 0.8865 0.8598  5 O 2.07-2.20
Mn 0.5306 0.4856 0.4933  6 O 2.19-2.36
Mg 0.1374 0.6289 0.6252  5 O 2.02-2.19
Ti 0.5601 0.1487 0.1424  3 O 1.84-1.88


Entry 4:
Entry from Materials Project: crystalline MgTiMn5P6O24 at its relaxed geometry (GGA+U).

Results
energy of formation	-2.609	eV per atom
relative energy among the computed polymorphs	33.2	meV per atom
space group	P1 (1)

abc: 8.7948 8.7358 8.6816
angles: 60.06 60.47 62.28
Last column: nearest neighbours and their distance in Å.
Atoms (fractional coordinates):
O 0.7489 0.2358 0.5829  1 P 1.55
O 0.7398 0.9234 0.2682  1 P 1.56
O 0.5882 0.6131 0.0089  1 P 1.55
O 0.3051 0.5427 0.7610  1 P 1.54
O 0.0806 0.0878 0.3241  1 P 1.51
O 0.0811 0.4858 0.0991  1 P 1.53
O 0.4232 0.0285 0.1535  1 P 1.56
O 0.7506 0.2592 0.0783  1 P 1.56
O 0.9162 0.8829 0.7135  1 P 1.54
O 0.7201 0.5972 0.4453  1 P 1.53
O 0.9223 0.4948 0.8799  1 P 1.54
O 0.9044 0.7129 0.5026  1 P 1.55
O 0.2265 0.7308 0.9556  1 P 1.57
O 0.7514 0.4268 0.2428  1 P 1.56
O 0.4234 0.3905 0.0271  1 P 1.56
O 0.4094 0.1592 0.3937  1 P 1.57
O 0.3062 0.7587 0.3825  1 P 1.54
O 0.2992 0.3913 0.5398  1 P 1.54
O 0.0731 0.3424 0.4780  1 P 1.54
O 0.7498 0.0788 0.9159  1 P 1.56
O 0.2244 0.9517 0.0790  1 P 1.59
O 0.5705 0.8057 0.6350  1 P 1.58
O 0.5818 0.9957 0.8012  1 P 1.57
O 0.1990 0.0975 0.7360  1 P 1.55
P 0.7517 0.0497 0.7514  4 O 1.54-1.57
P 0.7537 0.4479 0.0524  4 O 1.54-1.56
P 0.2588 0.5364 0.9597  4 O 1.53-1.57
P 0.7346 0.7571 0.4593  4 O 1.53-1.58
P 0.2419 0.2499 0.5382  4 O 1.54-1.57
P 0.2553 0.9556 0.2429  4 O 1.51-1.59
Ti 0.5508 0.1510 0.1508  5 O 1.86-2.08
Mn 0.3945 0.8745 0.8627  5 O 1.94-2.14
Mn 0.9790 0.0127 0.0043  6 O 2.21-2.48
Mn 0.5183 0.4922 0.4944  6 O 2.13-2.31
Mn 0.1166 0.6262 0.6240  6 O 2.11-2.33
Mn 0.9433 0.3498 0.3487  5 O 1.92-2.10
Mg 0.7564 0.7460 0.7574  6 O 2.03-2.11


Entry 5:
Entry from Materials Project: crystalline MgTiMnP3O12 at its relaxed geometry (GGA+U).

Results
energy of formation	-2.821	eV per atom
space group	R3c (161)

abc: 8.5427 8.5427 8.5427
angles: 60.72 60.72 60.72
Last column: nearest neighbours and their distance in Å.
Atoms (fractional coordinates):
P 0.5440 0.2488 0.9553  4 O 1.52-1.57
P 0.0440 0.4553 0.7488  4 O 1.52-1.57
P 0.4553 0.7488 0.0440  4 O 1.52-1.57
P 0.7488 0.0440 0.4553  4 O 1.52-1.57
P 0.9553 0.5440 0.2488  4 O 1.52-1.57
P 0.2488 0.9553 0.5440  4 O 1.52-1.57
O 0.2590 0.9079 0.0606  1 P 1.55
O 0.4079 0.7590 0.5606  1 P 1.55
O 0.0880 0.9467 0.7418  1 P 1.57
O 0.7590 0.5606 0.4079  1 P 1.55
O 0.6847 0.8888 0.4913  1 P 1.52
O 0.2418 0.4467 0.5880  1 P 1.57
O 0.9913 0.3888 0.1847  1 P 1.52
O 0.1190 0.4969 0.3153  1 P 1.56
O 0.9467 0.7418 0.0880  1 P 1.57
O 0.8888 0.4913 0.6847  1 P 1.52
O 0.9969 0.6190 0.8153  1 P 1.56
O 0.5606 0.4079 0.7590  1 P 1.55
O 0.8153 0.9969 0.6190  1 P 1.56
O 0.4913 0.6847 0.8888  1 P 1.52
O 0.3888 0.1847 0.9913  1 P 1.52
O 0.7418 0.0880 0.9467  1 P 1.57
O 0.0606 0.2590 0.9079  1 P 1.55
O 0.1847 0.9913 0.3888  1 P 1.52
O 0.9079 0.0606 0.2590  1 P 1.55
O 0.4467 0.5880 0.2418  1 P 1.57
O 0.3153 0.1190 0.4969  1 P 1.56
O 0.6190 0.8153 0.9969  1 P 1.56
O 0.4969 0.3153 0.1190  1 P 1.56
O 0.5880 0.2418 0.4467  1 P 1.57
Mn 0.1432 0.1432 0.1432  6 O 1.96-2.07
Mn 0.6432 0.6432 0.6432  6 O 1.96-2.07
Ti 0.8565 0.8565 0.8565  6 O 1.89-2.08
Ti 0.3565 0.3565 0.3565  6 O 1.89-2.08
Mg 0.5022 0.5022 0.5022  6 O 2.16-2.19
Mg 0.0022 0.0022 0.0022  6 O 2.16-2.19


Entry 6:
Entry from Materials Project: crystalline MgTiMn5P6O24 at its relaxed geometry (GGA+U).

Results
energy of formation	-2.632	eV per atom
relative energy among the computed polymorphs	10.9	meV per atom
space group	P1 (1)

abc: 8.8767 8.6970 8.7615
angles: 60.02 57.64 59.68
Last column: nearest neighbours and their distance in Å.
Atoms (fractional coordinates):
O 0.2165 0.1010 0.7529  1 P 1.53
O 0.9268 0.8814 0.6999  1 P 1.52
O 0.0578 0.1003 0.3135  1 P 1.50
O 0.9677 0.4727 0.8908  1 P 1.55
O 0.2689 0.7607 0.4194  1 P 1.55
O 0.0193 0.3236 0.5621  1 P 1.54
O 0.3009 0.5455 0.7531  1 P 1.53
O 0.2506 0.9115 0.0956  1 P 1.55
O 0.4137 0.0093 0.1900  1 P 1.59
O 0.3753 0.2041 0.3823  1 P 1.59
O 0.7828 0.2519 0.0484  1 P 1.59
O 0.4662 0.3775 0.9751  1 P 1.60
O 0.2677 0.7328 0.9231  1 P 1.57
O 0.7484 0.9090 0.2535  1 P 1.59
O 0.5655 0.9981 0.8347  1 P 1.52
O 0.7243 0.2400 0.6065  1 P 1.57
O 0.7569 0.0733 0.9127  1 P 1.59
O 0.7047 0.5908 0.4988  1 P 1.58
O 0.6362 0.5904 0.9193  1 P 1.53
O 0.5646 0.8780 0.5938  1 P 1.53
O 0.2566 0.4242 0.5484  1 P 1.56
O 0.1062 0.4992 0.1112  1 P 1.50
O 0.7108 0.4642 0.2206  1 P 1.55
O 0.9239 0.7185 0.4740  1 P 1.51
P 0.7704 0.4511 0.0252  4 O 1.53-1.59
P 0.2406 0.9494 0.2569  4 O 1.50-1.59
P 0.7449 0.0387 0.7579  4 O 1.52-1.59
P 0.2789 0.5387 0.9420  4 O 1.50-1.60
P 0.2124 0.2612 0.5675  4 O 1.53-1.59
P 0.7400 0.7691 0.4616  4 O 1.51-1.59
Ti 0.5467 0.1337 0.1636  4 O 1.83-2.02
Mn 0.9356 0.3609 0.3422  3 O 1.99-2.21
Mn 0.4410 0.8583 0.8549  5 O 1.89-2.10
Mn 0.0690 0.6454 0.6438  5 O 1.94-2.13
Mn 0.0116 0.9775 0.0175  5 O 2.19-2.29
Mn 0.4996 0.4967 0.4900  5 O 2.12-2.33
Mg 0.7398 0.3756 0.7551  5 O 2.09-2.24


DFT total energy per entry: -7.1720; -7.2497; -7.5230; -7.5203; -7.5073; -7.5427 eV/atom